This record from the Materials Project describes a geometry-optimized Y3GaFe4O12 structure. The functional is PBE with a Hubbard U.

The structure in POSCAR format:
```
Y3GaFe4O12
1.0
-6.258 6.258 6.261
6.258 -6.258 6.261
6.258 6.258 -6.261
Y Ga Fe O
12 4 16 48
Direct
0.000 0.500 0.500
0.000 0.625 0.875
0.250 0.125 0.625
0.250 0.250 0.000
0.375 0.250 0.375
0.375 0.750 0.875
0.500 0.000 0.500
0.500 0.625 0.375
0.750 0.125 0.125
0.750 0.750 0.000
0.875 0.000 0.625
0.875 0.500 0.125
0.250 0.625 0.125
0.375 0.500 0.625
0.500 0.125 0.875
0.875 0.750 0.375
0.000 0.000 0.000
0.000 0.125 0.375
0.125 0.874 0.250
0.125 0.875 0.749
0.126 0.376 0.251
0.126 0.376 0.751
0.250 0.750 0.500
0.375 0.000 0.125
0.500 0.500 0.000
0.624 0.375 0.750
0.624 0.875 0.750
0.625 0.375 0.249
0.625 0.874 0.250
0.750 0.250 0.500
0.750 0.625 0.625
0.875 0.250 0.875
0.000 0.282 0.334
0.000 0.843 0.042
0.030 0.904 0.570
0.032 0.250 0.834
0.041 0.166 0.573
0.042 0.000 0.843
0.093 0.552 0.343
0.096 0.667 0.127
0.157 0.084 0.375
0.157 0.199 0.157
0.209 0.750 0.657
0.210 0.583 0.930
0.218 0.843 0.927
0.220 0.499 0.666
0.249 0.470 0.166
0.250 0.907 0.459
0.302 0.343 0.843
0.304 0.083 0.834
0.333 0.460 0.430
0.334 0.000 0.282
0.416 0.198 0.166
0.417 0.346 0.627
0.446 0.780 0.279
0.448 0.791 0.541
0.500 0.459 0.157
0.501 0.167 0.721
0.530 0.696 0.779
0.532 0.959 0.125
0.540 0.970 0.873
0.541 0.698 0.041
0.593 0.250 0.542
0.593 0.468 0.427
0.654 0.280 0.070
0.657 0.500 0.959
0.708 0.051 0.458
0.709 0.782 0.625
0.718 0.052 0.718
0.720 0.790 0.373
0.750 0.292 0.343
0.750 0.584 0.782
0.801 0.958 0.958
0.802 0.968 0.218
0.833 0.554 0.334
0.834 0.407 0.875
0.916 0.291 0.073
0.917 0.751 0.221
0.948 0.666 0.666
0.949 0.407 0.657
```

Results
E	-0.278	hartree per atom